1.
TiFe6Ge6: relaxed, PBE.

Values from the calculation:
magnetic moment: 10.9 μB/f.u.
ΔE_f: -208 meV per atom
crystal system: hexagonal

a = 5.0252 Å, b = 5.0252 Å, c = 8.0497 Å
α = 90.00°, β = 90.00°, γ = 120.00°
Closest atoms and distances in Å follow each position.
Positions (direct):
Ge 0.3333 0.6667 0.5000  6 Fe 2.49
Ge 0.6667 0.3333 0.5000  6 Fe 2.49
Ge 0.0000 0.0000 0.3371  6 Fe 2.61, 1 Ge 2.62, 1 Ti 2.71
Ge 0.3333 0.6667 0.0000  6 Fe 2.47
Fe 0.5000 0.5000 0.7516  6 Ge 2.47-2.61, 4 Fe 2.51
Fe 0.5000 0.5000 0.2484  6 Ge 2.47-2.61, 4 Fe 2.51
Fe 0.5000 0.0000 0.7516  6 Ge 2.47-2.61, 4 Fe 2.51
Ge 0.0000 0.0000 0.6629  6 Fe 2.61, 1 Ge 2.62, 1 Ti 2.71
Fe 0.0000 0.5000 0.2484  6 Ge 2.47-2.61, 4 Fe 2.51
Ti 0.0000 0.0000 0.0000  8 Ge 2.71-2.90
Fe 0.0000 0.5000 0.7516  6 Ge 2.47-2.61, 4 Fe 2.51
Fe 0.5000 0.0000 0.2484  6 Ge 2.47-2.61, 4 Fe 2.51
Ge 0.6667 0.3333 0.0000  6 Fe 2.47


2.
TiFeGe2: relaxed, PBE.

Values from the calculation:
ΔE_f: -421 meV per atom
crystal system: orthorhombic

a = 7.7730 Å, b = 8.8607 Å, c = 9.9379 Å
α = 90.00°, β = 90.00°, γ = 90.00°
Closest atoms and distances in Å follow each position.
Positions (direct):
Ge 0.8379 0.6604 0.8181  3 Fe 2.39-2.45, 1 Ge 2.52, 1 Ti 2.63
Ge 0.1621 0.1604 0.6819  3 Fe 2.39-2.45, 1 Ge 2.52, 1 Ti 2.63
Fe 0.2526 0.4080 0.7472  6 Ge 2.35-2.53
Ge 0.5000 0.8668 0.5999  4 Fe 2.44-2.48, 2 Ti 2.60
Ge 0.0000 0.5466 0.3805  2 Fe 2.37, 1 Ge 2.52
Ge 0.1621 0.3396 0.1819  3 Fe 2.39-2.45, 1 Ge 2.52, 1 Ti 2.63
Fe 0.7474 0.4080 0.7472  6 Ge 2.35-2.53
Fe 0.7474 0.9080 0.7528  6 Ge 2.35-2.53
Ge 0.0000 0.8692 0.5963  4 Fe 2.50-2.53, 2 Ti 2.70
Ge 0.8379 0.8396 0.3181  3 Fe 2.39-2.45, 1 Ge 2.52, 1 Ti 2.63
Ti 0.5000 0.6647 0.8210  7 Ge 2.63-2.83
Ge 0.5000 0.1332 0.4001  4 Fe 2.44-2.48, 2 Ti 2.60
Fe 0.7437 0.5000 0.0000  6 Ge 2.41-2.50, 2 Fe 2.64
Ti 0.2584 0.8275 0.0488  8 Ge 2.60-2.88
Fe 0.2526 0.5920 0.2528  6 Ge 2.35-2.53
Ge 0.0000 0.4534 0.6195  2 Fe 2.37, 1 Ge 2.52
Ti 0.7416 0.6725 0.5488  8 Ge 2.60-2.88
Ge 0.0000 0.9534 0.8805  2 Fe 2.37, 1 Ge 2.52
Ti 0.2584 0.3275 0.4512  8 Ge 2.60-2.88
Ge 0.8379 0.1604 0.6819  3 Fe 2.39-2.45, 1 Ge 2.52, 1 Ti 2.63
Fe 0.7474 0.5920 0.2528  6 Ge 2.35-2.53
Fe 0.2526 0.0920 0.2472  6 Ge 2.35-2.53
Ge 0.0000 0.3692 0.9037  4 Fe 2.50-2.53, 2 Ti 2.70
Fe 0.2563 0.0000 0.5000  6 Ge 2.41-2.50, 2 Fe 2.64
Ge 0.0000 0.6308 0.0963  4 Fe 2.50-2.53, 2 Ti 2.70
Ge 0.8379 0.3396 0.1819  3 Fe 2.39-2.45, 1 Ge 2.52, 1 Ti 2.63
Ge 0.5000 0.3668 0.9001  4 Fe 2.44-2.48, 2 Ti 2.60
Fe 0.7474 0.0920 0.2472  6 Ge 2.35-2.53
Ti 0.7416 0.3275 0.4512  8 Ge 2.60-2.88
Ge 0.5000 0.6332 0.0999  4 Fe 2.44-2.48, 2 Ti 2.60
Ge 0.5000 0.5394 0.3801  2 Fe 2.35, 1 Ge 2.48
Ge 0.5000 0.9606 0.8801  2 Fe 2.35, 1 Ge 2.48
Ge 0.1621 0.6604 0.8181  3 Fe 2.39-2.45, 1 Ge 2.52, 1 Ti 2.63
Ti 0.7416 0.8275 0.0488  8 Ge 2.60-2.88
Ti 0.2584 0.6725 0.5488  8 Ge 2.60-2.88
Ti 0.2584 0.1725 0.9512  8 Ge 2.60-2.88
Ge 0.5000 0.0394 0.1199  2 Fe 2.35, 1 Ge 2.48
Ti 0.7416 0.1725 0.9512  8 Ge 2.60-2.88
Ti 0.5000 0.1647 0.6790  7 Ge 2.63-2.83
Ge 0.0000 0.1308 0.4037  4 Fe 2.50-2.53, 2 Ti 2.70
Ti 0.5000 0.3353 0.1790  7 Ge 2.63-2.83
Fe 0.7437 0.0000 0.5000  6 Ge 2.41-2.50, 2 Fe 2.64
Ti 0.5000 0.8353 0.3210  7 Ge 2.63-2.83
Ge 0.5000 0.4606 0.6199  2 Fe 2.35, 1 Ge 2.48
Fe 0.2526 0.9080 0.7528  6 Ge 2.35-2.53
Ge 0.1621 0.8396 0.3181  3 Fe 2.39-2.45, 1 Ge 2.52, 1 Ti 2.63
Fe 0.2563 0.5000 0.0000  6 Ge 2.41-2.50, 2 Fe 2.64
Ge 0.0000 0.0466 0.1195  2 Fe 2.37, 1 Ge 2.52


3.
Tm3Fe2Ge3: relaxed, PBE.

Values from the calculation:
magnetic moment: 0.0 μB/f.u.
ΔE_f: -623 meV per atom
crystal system: orthorhombic

a = 5.6367 Å, b = 5.6367 Å, c = 13.5857 Å
α = 90.00°, β = 90.00°, γ = 137.22°
Closest atoms and distances in Å follow each position.
Positions (direct):
Fe 0.2150 0.7850 0.0830  4 Ge 2.35-2.59
Ge 0.3334 0.6666 0.2500  2 Fe 2.59, 2 Tm 2.88
Tm 0.0796 0.9204 0.6122  7 Ge 2.93-3.28, 4 Fe 3.00-3.12
Tm 0.9204 0.0796 0.3878  7 Ge 2.93-3.28, 4 Fe 3.00-3.12
Fe 0.7850 0.2150 0.9170  4 Ge 2.35-2.59
Ge 0.6666 0.3334 0.7500  2 Fe 2.59, 2 Tm 2.88
Ge 0.6223 0.3777 0.4592  3 Fe 2.35-2.40
Tm 0.9204 0.0796 0.1122  7 Ge 2.93-3.28, 4 Fe 3.00-3.12
Ge 0.3777 0.6223 0.5408  3 Fe 2.35-2.40
Ge 0.3777 0.6223 0.9592  3 Fe 2.35-2.40
Tm 0.0796 0.9204 0.8878  7 Ge 2.93-3.28, 4 Fe 3.00-3.12
Tm 0.3585 0.6415 0.7500  4 Ge 2.85-2.88, 4 Fe 3.16
Fe 0.7850 0.2150 0.5830  4 Ge 2.35-2.59
Fe 0.2150 0.7850 0.4170  4 Ge 2.35-2.59
Tm 0.6415 0.3585 0.2500  4 Ge 2.85-2.88, 4 Fe 3.16
Ge 0.6223 0.3777 0.0408  3 Fe 2.35-2.40


4.
TmFeGe2: relaxed, PBE.

Values from the calculation:
magnetic moment: 0.0 μB/f.u.
ΔE_f: -423 meV per atom
crystal system: orthorhombic

a = 8.6120 Å, b = 8.6120 Å, c = 4.1651 Å
α = 90.00°, β = 90.00°, γ = 152.67°
Closest atoms and distances in Å follow each position.
Positions (direct):
Tm 0.8904 0.1096 0.7500  10 Ge 3.08-3.28, 4 Fe 3.13
Ge 0.4557 0.5443 0.2500  1 Fe 2.25
Ge 0.7477 0.2523 0.2500  4 Fe 2.38
Ge 0.5443 0.4557 0.7500  1 Fe 2.25
Fe 0.3211 0.6789 0.2500  5 Ge 2.25-2.38
Fe 0.6789 0.3211 0.7500  5 Ge 2.25-2.38
Tm 0.1096 0.8904 0.2500  10 Ge 3.08-3.28, 4 Fe 3.13
Ge 0.2523 0.7477 0.7500  4 Fe 2.38


5.
Tm4Fe3Ge4: relaxed, PBE.

Values from the calculation:
magnetic moment: 5.3 μB/f.u.
ΔE_f: -131 meV per atom
crystal system: orthorhombic

a = 3.2636 Å, b = 9.0330 Å, c = 8.7332 Å
α = 121.14°, β = 100.77°, γ = 90.00°
Closest atoms and distances in Å follow each position.
Positions (direct):
Tm 0.3483 0.6656 0.6966  3 Ge 2.73-2.93
Fe 0.8986 0.3986 0.7972  6 Ge 2.44-2.54
Tm 0.6517 0.3344 0.3034  3 Ge 2.73-2.93
Tm 0.3483 0.0310 0.6966  3 Ge 2.73-2.93
Ge 0.2743 0.2743 0.5486  2 Fe 2.44
Ge 0.7257 0.7257 0.4514  2 Fe 2.44
Tm 0.6517 0.9690 0.3034  3 Ge 2.73-2.93
Ge 0.5000 0.3594 0.0000  1 Ge 2.54, 4 Fe 2.54, 2 Tm 2.73
Fe 0.1014 0.6014 0.2028  6 Ge 2.44-2.54
Ge 0.5000 0.6406 0.0000  1 Ge 2.54, 4 Fe 2.54, 2 Tm 2.73
Fe 0.0000 0.0000 0.0000  8 Tm 3.21, 2 Fe 3.26


6.
TmFe6Ge6: relaxed, PBE.

Values from the calculation:
magnetic moment: 10.9 μB/f.u.
ΔE_f: -278 meV per atom
crystal system: orthorhombic

a = 14.1140 Å, b = 14.1140 Å, c = 14.1140 Å
α = 159.05°, β = 146.62°, γ = 39.74°
Closest atoms and distances in Å follow each position.
Positions (direct):
Ge 0.5553 0.5553 0.0000  6 Fe 2.50-2.51
Fe 0.3331 0.8335 0.9999  6 Ge 2.51-2.67, 4 Fe 2.55-2.57
Fe 0.1664 0.6668 0.9999  6 Ge 2.51-2.67, 4 Fe 2.55-2.57
Ge 0.6543 0.0000 0.6543  1 Ge 2.50, 6 Fe 2.67-2.68
Fe 0.0834 0.8335 0.2499  6 Ge 2.48-2.68, 4 Fe 2.55-2.56
Fe 0.1664 0.1665 0.4997  6 Ge 2.51-2.67, 4 Fe 2.55-2.57
Tm 0.8322 0.3322 0.5000  8 Ge 2.81-2.98
Fe 0.6669 0.6668 0.5003  6 Ge 2.51-2.67, 4 Fe 2.55-2.57
Ge 0.1801 0.3336 0.8465  1 Ge 2.49, 6 Fe 2.67-2.68
Ge 0.8878 0.8878 0.0000  6 Fe 2.49-2.52
Ge 0.4872 0.3336 0.1535  1 Ge 2.49, 6 Fe 2.67-2.68
Fe 0.8336 0.8335 0.5003  6 Ge 2.51-2.67, 4 Fe 2.55-2.57
Fe 0.9166 0.1665 0.7501  6 Ge 2.48-2.68, 4 Fe 2.55-2.56
Ge 0.4447 0.4447 0.0000  6 Fe 2.50-2.51
Ge 0.2232 0.2232 0.0000  6 Fe 2.50-2.52
Fe 0.5000 0.0000 0.0000  6 Ge 2.50-2.68, 4 Fe 2.56-2.57
Ge 0.8199 0.6664 0.1535  1 Ge 2.49, 6 Fe 2.67-2.68
Ge 0.9446 0.4446 0.5000  6 Fe 2.50-2.51
Fe 0.5836 0.8335 0.7501  6 Ge 2.48-2.68, 4 Fe 2.55-2.56
Fe 0.7502 0.5000 0.2502  6 Ge 2.50-2.68, 4 Fe 2.56
Fe 0.4164 0.1665 0.2499  6 Ge 2.48-2.68, 4 Fe 2.55-2.56
Ge 0.5128 0.6664 0.8465  1 Ge 2.49, 6 Fe 2.67-2.68
Fe 0.0000 0.5000 0.0000  6 Ge 2.50-2.68, 4 Fe 2.56-2.57
Tm 0.0000 0.0000 0.0000  8 Ge 2.80-2.98
Fe 0.8336 0.3332 0.0001  6 Ge 2.51-2.67, 4 Fe 2.55-2.57
Fe 0.6669 0.1665 0.0001  6 Ge 2.51-2.67, 4 Fe 2.55-2.57
Ge 0.2796 0.7796 0.5000  6 Fe 2.48-2.52
Fe 0.3331 0.3332 0.4997  6 Ge 2.51-2.67, 4 Fe 2.55-2.57
Ge 0.1122 0.1122 0.0000  6 Fe 2.49-2.52
Ge 0.7204 0.2204 0.5000  6 Fe 2.48-2.52
Ge 0.3895 0.8895 0.5000  6 Fe 2.51-2.52
Fe 0.0000 0.0000 0.5000  6 Ge 2.50-2.68, 4 Fe 2.56-2.57
Ge 0.7768 0.7768 0.0000  6 Fe 2.50-2.52
Fe 0.2498 0.5000 0.7498  6 Ge 2.50-2.68, 4 Fe 2.56
Ge 0.6105 0.1105 0.5000  6 Fe 2.51-2.52
Fe 0.5000 0.5000 0.5000  6 Ge 2.50-2.68, 4 Fe 2.56-2.57
Ge 0.3457 0.0000 0.3457  1 Ge 2.50, 6 Fe 2.67-2.68
Ge 0.0554 0.5554 0.5000  6 Fe 2.50-2.51
Tm 0.1678 0.6678 0.5000  8 Ge 2.81-2.98


7.
Tm2FeGe4: relaxed, PBE.

Values from the calculation:
magnetic moment: 0.0 μB/f.u.
ΔE_f: -549 meV per atom
crystal system: orthorhombic

a = 4.1343 Å, b = 4.1661 Å, c = 7.9638 Å
α = 74.84°, β = 90.00°, γ = 90.00°
Closest atoms and distances in Å follow each position.
Positions (direct):
Ge 0.2500 0.2615 0.4770  2 Fe 2.32
Tm 0.7500 0.1031 0.7938  10 Ge 3.06-3.33, 4 Fe 3.25
Ge 0.7500 0.7597 0.4807  2 Fe 2.30
Ge 0.7500 0.4338 0.1323  2 Ge 2.69, 4 Tm 2.99
Fe 0.2500 0.6947 0.6106  5 Ge 2.28-2.32
Tm 0.2500 0.8981 0.2039  10 Ge 2.96-3.09, 1 Fe 3.13
Ge 0.2500 0.5461 0.9077  1 Fe 2.28


8.
Tm9Fe10Ge10: relaxed, PBE.

Values from the calculation:
ΔE_f: -548 meV per atom
crystal system: orthorhombic

a = 9.9859 Å, b = 9.9859 Å, c = 9.9859 Å
α = 148.87°, β = 96.99°, γ = 91.28°
Closest atoms and distances in Å follow each position.
Positions (direct):
Ge 0.7083 0.2083 0.5000  4 Fe 2.47
Fe 0.5107 0.4114 0.6134  2 Fe 2.46-2.60, 4 Ge 2.46-2.55
Ge 0.0000 0.2477 0.2477  2 Ge 2.66-2.70
Tm 0.5000 0.0000 0.5000  2 Ge 2.91, 12 Fe 2.98-3.19
Tm 0.0114 0.3648 0.6466  7 Ge 2.91-3.06, 4 Fe 3.08-3.25
Ge 0.5828 0.7949 0.7879  4 Fe 2.46-2.52
Ge 0.4172 0.2051 0.2121  4 Fe 2.46-2.52
Tm 0.9886 0.6352 0.3534  7 Ge 2.91-3.06, 4 Fe 3.08-3.25
Fe 0.5107 0.8973 0.0994  2 Fe 2.46-2.60, 4 Ge 2.46-2.55
Ge 0.0000 0.7523 0.7523  2 Ge 2.66-2.70
Tm 0.7183 0.3648 0.3534  7 Ge 2.91-3.06, 4 Fe 3.08-3.25
Fe 0.7979 0.8973 0.3866  2 Fe 2.46-2.60, 4 Ge 2.46-2.55
Ge 0.2917 0.7917 0.5000  4 Fe 2.47
Fe 0.4893 0.1027 0.9006  2 Fe 2.46-2.60, 4 Ge 2.46-2.55
Tm 0.2817 0.6352 0.6466  7 Ge 2.91-3.06, 4 Fe 3.08-3.25
Ge 0.6719 0.5000 0.1719  6 Fe 2.55-2.62
Tm 0.1968 0.1968 0.0000  6 Ge 2.81-3.05, 5 Fe 2.94-3.10
Fe 0.5930 0.5930 0.0000  5 Fe 2.46-2.60, 2 Ge 2.62
Tm 0.7795 0.0000 0.7795  6 Ge 2.87-3.21, 4 Fe 3.13
Fe 0.4070 0.4070 0.0000  5 Fe 2.46-2.60, 2 Ge 2.62
Ge 0.3281 0.5000 0.8281  6 Fe 2.55-2.62
Ge 0.0070 0.7949 0.2121  4 Fe 2.46-2.52
Fe 0.4893 0.5886 0.3866  2 Fe 2.46-2.60, 4 Ge 2.46-2.55
Fe 0.2021 0.1027 0.6134  2 Fe 2.46-2.60, 4 Ge 2.46-2.55
Fe 0.7979 0.4114 0.9006  2 Fe 2.46-2.60, 4 Ge 2.46-2.55
Tm 0.2205 0.0000 0.2205  6 Ge 2.87-3.21, 4 Fe 3.13
Tm 0.8032 0.8032 0.0000  6 Ge 2.81-3.05, 5 Fe 2.94-3.10
Fe 0.2021 0.5886 0.0994  2 Fe 2.46-2.60, 4 Ge 2.46-2.55
Ge 0.9930 0.2051 0.7879  4 Fe 2.46-2.52